A plane-wave DFT calculation with GGA-PBE was carried out for a geometry-optimized CaTiO3 structure.

Structure (CIF):
```
data_CaTiO3
_space_group_name_H-M_alt 'R -3'
_space_group_IT_number 148
_space_group_name_Hall '-R 3'
_cell_length_a 5.3410
_cell_length_b 5.3410
_cell_length_c 15.1737
_cell_angle_alpha 90.00
_cell_angle_beta 90.00
_cell_angle_gamma 120.00
loop_
_atom_site_label
_atom_site_fract_x
_atom_site_fract_y
_atom_site_fract_z
Ca1 0.0000 0.0000 0.1367
Ti1 0.0000 0.0000 0.3508
O1 0.0097 0.3984 0.9251
```



A plane-wave DFT calculation with GGA-PBE was carried out for a geometry-optimized CaTiO2 structure.

Structure (CIF):
```
data_CaTiO2
_space_group_name_H-M_alt 'P 1'
_space_group_IT_number 1
_cell_length_a 3.4305
_cell_length_b 8.6136
_cell_length_c 8.8663
_cell_angle_alpha 96.32
_cell_angle_beta 90.34
_cell_angle_gamma 99.59
loop_
_space_group_symop_operation_xyz
'x,y,z'
loop_
_atom_site_label
_atom_site_fract_x
_atom_site_fract_y
_atom_site_fract_z
Ca1 0.0000 0.0000 0.0000
Ca2 0.0091 0.9675 0.6088
Ca3 0.3644 0.6497 0.8537
Ca4 0.8372 0.5875 0.4945
Ti1 0.3598 0.6268 0.1974
Ti2 0.4890 0.9482 0.3054
Ti3 0.7716 0.3569 0.9420
Ti4 0.7809 0.2923 0.6210
O1 0.2536 0.3810 0.5393
O2 0.2942 0.4391 0.0155
O3 0.4158 0.7626 0.4135
O4 0.4231 0.8230 0.0896
O5 0.5667 0.0932 0.4921
O6 0.7882 0.4881 0.7661
O7 0.8277 0.5432 0.2397
O8 0.8863 0.1746 0.7950
```



So what do the calculations give for E_form? Going down the list: -3.53; -2.69 eV per atom.